Entry 1:
# Na5Ta3Si6SnO24

A relaxed Na5Ta3Si6SnO24 crystal (PBE-GGA, Materials Project).

a b c (Å): 9.013 9.028 22.492
angles (deg): 89.71 89.93 60.12
Space group P1 (No. 1)
Symmetry-distinct sites (fractional):
Na (0.000, 0.000, 0.000) x1
Na (0.001, 0.628, 0.747) x1
Na (0.010, 0.359, 0.245) x1
Na (0.014, 0.989, 0.498) x1
Na (0.032, 0.672, 0.412) x1
Na (0.302, 0.666, 0.918) x1
Na (0.334, 0.334, 0.327) x1
Na (0.348, 0.321, 0.832) x1
Na (0.365, 0.006, 0.747) x1
Na (0.633, 0.004, 0.246) x1
Na (0.652, 0.665, 0.663) x1
Na (0.653, 0.679, 0.162) x1
Na (0.669, 0.294, 0.413) x1
Na (0.693, 0.337, 0.084) x1
Na (0.970, 0.335, 0.584) x1
Ta (0.000, 0.997, 0.642) x1
Ta (0.006, 0.994, 0.143) x1
Ta (0.332, 0.329, 0.978) x1
Ta (0.335, 0.329, 0.478) x1
Ta (0.664, 0.666, 0.309) x1
Ta (0.664, 0.670, 0.521) x1
Ta (0.668, 0.663, 0.811) x1
Ta (0.669, 0.669, 0.020) x1
Ta (0.996, 0.004, 0.855) x1
Si (0.006, 0.708, 0.251) x1
Si (0.043, 0.334, 0.084) x1
Si (0.047, 0.622, 0.583) x1
Si (0.288, 0.712, 0.750) x1
Si (0.290, 0.999, 0.249) x1
Si (0.332, 0.623, 0.080) x1
Si (0.339, 0.040, 0.586) x1
Si (0.377, 0.668, 0.416) x1
Si (0.381, 0.956, 0.914) x1
Si (0.623, 0.041, 0.084) x1
Si (0.623, 0.333, 0.583) x1
Si (0.664, 0.956, 0.414) x1
Si (0.670, 0.375, 0.918) x1
Si (0.711, 0.002, 0.749) x1
Si (0.711, 0.288, 0.249) x1
Si (0.958, 0.376, 0.416) x1
Si (0.958, 0.664, 0.914) x1
Si (0.997, 0.288, 0.747) x1
Sn (0.005, 0.999, 0.353) x1
Sn (0.334, 0.336, 0.184) x1
Sn (0.339, 0.333, 0.687) x1
O (0.019, 0.164, 0.087) x1
O (0.024, 0.162, 0.804) x1
O (0.030, 0.784, 0.314) x1
O (0.030, 0.810, 0.588) x1
O (0.116, 0.365, 0.146) x1
O (0.118, 0.502, 0.642) x1
O (0.144, 0.368, 0.422) x1
O (0.150, 0.496, 0.920) x1
O (0.160, 0.033, 0.587) x1
O (0.160, 0.810, 0.088) x1
O (0.163, 0.514, 0.245) x1
O (0.167, 0.046, 0.307) x1
O (0.167, 0.313, 0.027) x1
O (0.167, 0.527, 0.524) x1
O (0.169, 0.306, 0.747) x1
O (0.174, 0.803, 0.810) x1
O (0.185, 0.831, 0.414) x1
O (0.192, 0.839, 0.693) x1
O (0.194, 0.967, 0.909) x1
O (0.194, 0.975, 0.191) x1
O (0.294, 0.529, 0.746) x1
O (0.307, 0.534, 0.020) x1
O (0.309, 0.172, 0.530) x1
O (0.317, 0.164, 0.244) x1
O (0.362, 0.144, 0.922) x1
O (0.365, 0.492, 0.421) x1
O (0.369, 0.114, 0.647) x1
O (0.386, 0.493, 0.137) x1
O (0.476, 0.701, 0.754) x1
O (0.478, 0.684, 0.474) x1
O (0.478, 0.826, 0.969) x1
O (0.480, 0.827, 0.254) x1
O (0.494, 0.365, 0.921) x1
O (0.495, 0.147, 0.421) x1
O (0.495, 0.866, 0.854) x1
O (0.502, 0.639, 0.358) x1
O (0.502, 0.645, 0.073) x1
O (0.503, 0.850, 0.575) x1
O (0.506, 0.372, 0.641) x1
O (0.518, 0.112, 0.146) x1
O (0.519, 0.165, 0.749) x1
O (0.522, 0.174, 0.029) x1
O (0.523, 0.305, 0.245) x1
O (0.531, 0.309, 0.523) x1
O (0.642, 0.504, 0.860) x1
O (0.642, 0.865, 0.354) x1
O (0.648, 0.851, 0.073) x1
O (0.659, 0.494, 0.575) x1
O (0.691, 0.830, 0.470) x1
O (0.693, 0.464, 0.977) x1
O (0.699, 0.825, 0.753) x1
O (0.705, 0.473, 0.255) x1
O (0.787, 0.175, 0.310) x1
O (0.809, 0.033, 0.088) x1
O (0.812, 0.017, 0.807) x1
O (0.815, 0.163, 0.587) x1
O (0.826, 0.698, 0.254) x1
O (0.829, 0.480, 0.754) x1
O (0.834, 0.196, 0.192) x1
O (0.834, 0.974, 0.692) x1
O (0.836, 0.974, 0.414) x1
O (0.837, 0.686, 0.971) x1
O (0.839, 0.187, 0.909) x1
O (0.840, 0.472, 0.474) x1
O (0.848, 0.497, 0.076) x1
O (0.858, 0.640, 0.573) x1
O (0.865, 0.644, 0.854) x1
O (0.866, 0.499, 0.357) x1
O (0.964, 0.193, 0.414) x1
O (0.974, 0.200, 0.687) x1
O (0.974, 0.839, 0.196) x1
O (0.985, 0.831, 0.911) x1

Properties
- Total magnetic moment: 0.00 μB per cell

Entry 2:
# TiCl3

A relaxed TiCl3 crystal (PBE-GGA, Materials Project).

a b c (Å): 6.1058 6.1058 19.0570
angles (deg): 90.00 90.00 120.00
Space group P312 (No. 149)
Symmetry-distinct sites (fractional):
Ti (0.0000, 0.0000, 0.0000) x1
Ti (0.0000, 0.0000, 0.3345) x2
Ti (0.3333, 0.6667, 0.0000) x1
Ti (0.6667, 0.3333, 0.3345) x2
Cl (0.0196, 0.3333, 0.0739) x6
Cl (0.3333, 0.0186, 0.4082) x6
Cl (0.3334, 0.0196, 0.7393) x6

Properties
- Total magnetic moment: 6.00 μB per cell

Entry 3:
# CaO

A relaxed CaO crystal (PBE-GGA, Materials Project).

a b c (Å): 4.710 4.718 16.749
angles (deg): 90.00 90.00 90.00
Space group Cmce (No. 64)
Symmetry-distinct sites (fractional):
Ca (0.000, 0.067, 0.178) x8
O (0.000, 0.067, 0.320) x8

Properties
- Total magnetic moment: 0.00 μB per cell

Entry 4:
# La2SiCN2O4

A relaxed La2SiCN2O4 crystal (PBE-GGA, Materials Project).

a b c (Å): 6.575 12.916 6.680
angles (deg): 90.00 105.28 90.00
Space group P2_1/c (No. 14)
Symmetry-distinct sites (fractional):
La (0.030, 0.145, 0.330) x4
La (0.412, 0.599, 0.719) x4
Si (0.092, 0.099, 0.813) x4
C (0.474, 0.652, 0.231) x4
N (0.370, 0.704, 0.324) x4
N (0.425, 0.098, 0.362) x4
O (0.025, 0.666, 0.541) x4
O (0.106, 0.552, 0.871) x4
O (0.223, 0.180, 0.703) x4
O (0.253, 0.007, 0.916) x4

Properties
- Total magnetic moment: 0.00 μB per cell

Entry 5:
# Zn2WN2

A relaxed Zn2WN2 crystal (PBE-GGA, Materials Project).

a b c (Å): 10.152 5.143 6.038
angles (deg): 90.00 118.08 90.00
Space group C2/m (No. 12)
Symmetry-distinct sites (fractional):
Zn (0.064, 0.000, 0.317) x4
Zn (0.197, 0.500, 0.697) x4
W (0.158, 0.500, 0.178) x4
N (0.049, 0.500, 0.822) x4
N (0.142, 0.000, 0.730) x4

Properties
- Total magnetic moment: 0.00 μB per cell

Entry 6:
# Sr2YTlSn2O7

A relaxed Sr2YTlSn2O7 crystal (PBE-GGA, Materials Project).

a b c (Å): 4.195 4.195 12.803
angles (deg): 90.00 90.00 90.00
Space group P4/mmm (No. 123)
Symmetry-distinct sites (fractional):
Sr (0.000, 0.000, 0.180) x2
Y (0.000, 0.000, 0.500) x1
Tl (0.500, 0.500, 0.000) x1
Sn (0.500, 0.500, 0.365) x2
O (0.000, 0.000, 0.000) x1
O (0.000, 0.500, 0.389) x4
O (0.500, 0.500, 0.206) x2

Properties
- Total magnetic moment: 0.00 μB per cell

Entry 7:
# SmAsO4

A relaxed SmAsO4 crystal (PBE-GGA, Materials Project).

a b c (Å): 5.129 5.129 11.591
angles (deg): 90.00 90.00 90.00
Space group I4_1/a (No. 88, origin choice 2)
Symmetry-distinct sites (fractional):
Sm (0.000, 0.250, 0.125) x4
As (0.000, 0.250, 0.625) x4
O (0.142, 0.000, 0.703) x16

Properties
- Total magnetic moment: 0.00 μB per cell

Entry 8:
# PuGa2

A relaxed PuGa2 crystal (PBE-GGA, Materials Project).

a b c (Å): 4.6229 4.6229 3.3759
angles (deg): 90.00 90.00 120.00
Space group P6/mmm (No. 191)
Symmetry-distinct sites (fractional):
Pu (0.0000, 0.0000, 0.0000) x1
Ga (0.3333, 0.6667, 0.5000) x2

Taking the records one at a time from the top gives total energy values of -7.651, -4.944, -6.230, -8.477, -6.180, -6.165, -7.204, -7.190 eV/atom.